Crystalline Tl3VS4 at its relaxed geometry. Source: Materials Project, functional r²SCAN.

The structure in CIF format:
```
data_Tl3VS4
_symmetry_space_group_name_H-M 'I -4 3 m'
_symmetry_Int_Tables_number 217
_symmetry_space_group_name_Hall 'I -4 2 3'
_cell_length_a 7.586
_cell_length_b 7.586
_cell_length_c 7.586
_cell_angle_alpha 90.00
_cell_angle_beta 90.00
_cell_angle_gamma 90.00
loop_
_atom_site_label
_atom_site_fract_x
_atom_site_fract_y
_atom_site_fract_z
Tl1 0.000 0.000 0.500
V1 0.000 0.000 0.000
S1 0.164 0.164 0.836
```

Crystalline La3InGe at its relaxed geometry. Source: Materials Project, functional r²SCAN.

The structure in CIF format:
```
data_La3InGe
_symmetry_space_group_name_H-M 'F m m 2'
_symmetry_Int_Tables_number 42
_symmetry_space_group_name_Hall 'F 2 -2'
_cell_length_a 17.491
_cell_length_b 17.534
_cell_length_c 16.267
_cell_angle_alpha 90.00
_cell_angle_beta 90.00
_cell_angle_gamma 90.00
loop_
_atom_site_label
_atom_site_fract_x
_atom_site_fract_y
_atom_site_fract_z
La1 0.000 0.000 0.000
La2 0.000 0.000 0.209
La3 0.000 0.000 0.504
La4 0.000 0.000 0.716
La5 0.000 0.166 0.358
La6 0.115 0.184 0.000
La7 0.116 0.186 0.726
La8 0.168 0.000 0.860
La9 0.181 0.118 0.224
La10 0.185 0.117 0.494
In1 0.000 0.174 0.564
In2 0.174 0.000 0.063
In3 0.177 0.000 0.658
In4 0.250 0.250 0.361
Ge1 0.000 0.121 0.861
Ge2 0.000 0.179 0.162
Ge3 0.118 0.000 0.358
Ge4 0.250 0.250 0.111
```

Crystalline SiNi at its relaxed geometry. Source: Materials Project, functional r²SCAN.

The structure in CIF format:
```
data_SiNi
_symmetry_space_group_name_H-M 'P n m a'
_symmetry_Int_Tables_number 62
_cell_length_a 5.142
_cell_length_b 3.321
_cell_length_c 5.570
_cell_angle_alpha 90.00
_cell_angle_beta 90.00
_cell_angle_gamma 90.00
loop_
_symmetry_equiv_pos_as_xyz
'x,y,z'
'-x,-y,-z'
'-x+1/2,-y,z+1/2'
'x+1/2,y,-z+1/2'
'x+1/2,-y+1/2,-z+1/2'
'-x+1/2,y+1/2,z+1/2'
'-x,y+1/2,-z'
'x,-y+1/2,z'
loop_
_atom_site_label
_atom_site_fract_x
_atom_site_fract_y
_atom_site_fract_z
Si1 0.179 0.250 0.082
Ni1 0.008 0.250 0.689
```

# Co3P2O8, optimized geometry, DFT r²SCAN
# Excess energy over the best structure of this formula in the dataset ... 10 meV per atom
data_Co3P2O8
_symmetry_space_group_name_H-M 'P 1 21/c 1'
_symmetry_Int_Tables_number 14
_cell_length_a 5.903
_cell_length_b 4.734
_cell_length_c 10.237
_cell_angle_alpha 90.00
_cell_angle_beta 91.47
_cell_angle_gamma 90.00
loop_
_symmetry_equiv_pos_as_xyz
'x,y,z'
'-x,-y,-z'
'-x,y+1/2,-z+1/2'
'x,-y+1/2,z+1/2'
loop_
_atom_site_label
_atom_site_fract_x
_atom_site_fract_y
_atom_site_fract_z
Co1 0.000 0.000 0.000
Co2 0.264 0.017 0.726
P1 0.243 0.571 0.904
O1 0.029 0.722 0.840
O2 0.226 0.249 0.898
O3 0.250 0.686 0.044
O4 0.436 0.684 0.820

Values for calculated formation energy, meV per atom, ordered as above
-718; -744; -471; -1913